r2SCAN In2Se2O7, optimized geometry; crystal system = orthorhombic; space-group type = No. 56; ΔH_f (0 K) = -14.41 eV per formula unit
1.0
6.9052 0.0000 0.0000
0.0000 12.7772 0.0000
0.0000 0.0000 13.8561
O In Se
56 16 16
Cartesian
4.8465 3.6001 12.4402
1.2735 3.3711 8.6590
6.7071 1.2410 0.1886
5.6317 9.4062 5.1971
6.6837 1.9210 10.9803
5.3815 6.0483 2.0508
5.3815 12.4369 4.8772
4.9763 12.4369 2.0508
5.8993 0.3573 8.3041
5.5113 9.9887 12.4402
4.4585 0.3573 12.4801
3.1715 1.2236 3.3901
2.1791 9.7597 8.6590
6.6241 5.1650 10.4660
2.4467 6.0313 5.5521
2.0587 2.7885 5.5121
1.0059 12.4199 5.5521
0.2215 10.8562 2.8758
1.9289 6.7289 8.9789
4.4585 6.7459 8.3041
3.2311 4.4676 2.8758
0.2811 7.6122 3.3901
1.9289 0.3403 11.8053
3.6741 1.9210 9.8038
3.6741 8.3096 10.9803
4.9763 6.0483 4.8772
1.0059 6.0313 1.3760
1.5237 0.3403 8.9789
3.2545 11.5362 7.1167
3.1715 7.6122 3.5380
0.2215 4.4676 4.0523
4.7261 9.4062 1.7310
2.1791 3.3711 12.1251
2.4467 12.4199 1.3760
1.2735 9.7597 12.1251
3.2311 10.8562 4.0523
4.7261 3.0175 5.1971
6.6837 8.3096 9.8038
4.8465 9.9887 8.3440
0.2811 1.2236 3.5380
3.2545 5.1476 13.6675
3.6507 7.6296 0.1886
1.5237 6.7289 11.8053
6.7071 7.6296 6.7394
6.6241 11.5536 10.3182
0.1981 11.5362 13.6675
3.6507 1.2410 6.7394
2.0587 9.1771 1.4160
5.8993 6.7459 12.4801
3.7338 11.5536 10.4660
1.3939 9.1771 5.5121
1.3939 2.7885 1.4160
3.7338 5.1650 10.3182
5.6317 3.0175 1.7310
0.1981 5.1476 7.1167
5.5113 3.6001 8.3440
6.5688 0.1618 12.0854
5.1789 10.6502 3.4640
3.7891 0.1618 8.6988
5.1789 3.2454 10.3921
5.1789 9.6340 10.3921
5.1789 4.2616 3.4640
1.7263 2.1270 10.3921
1.7263 9.5319 3.4640
3.1161 12.6155 5.1573
1.7263 3.1432 3.4640
1.7263 8.5156 10.3921
0.3365 6.2268 5.1573
0.3365 12.6155 1.7707
3.1161 6.2268 1.7707
6.5688 6.5504 8.6988
3.7891 6.5504 12.0854
3.2293 12.0321 12.0750
6.6819 7.1338 1.7812
0.0686 9.8396 13.3080
0.2233 12.0321 8.7092
3.2293 5.6434 8.7092
3.3840 9.8396 7.4761
6.8366 2.9376 0.5481
3.5212 2.9376 6.3800
3.6759 7.1338 5.1469
0.2233 5.6434 12.0750
0.0686 3.4510 7.4761
3.5212 9.3262 0.5481
3.6759 0.7452 1.7812
3.3840 3.4510 13.3080
6.6819 0.7452 5.1469
6.8366 9.3262 6.3800